(1)
A geometry-optimized Lu2H16S3O20 structure, computed with PBE.

Results
Crystal system ... monoclinic
Formation energy ... -1.53 eV per atom

a = 8.0929 Å, b = 8.0929 Å, c = 18.4595 Å
α = 105.97°, β = 105.97°, γ = 48.29°
With the nearest neighbours (Å) after each atom.
Sites, in units of the cell vectors:
Lu 0.1644 0.1787 0.3794  7 O 2.23-2.43, 1 H 2.42
Lu 0.1787 0.1644 0.8794  7 O 2.23-2.43, 1 H 2.42
Lu 0.8213 0.8356 0.1206  7 O 2.23-2.43, 1 H 2.42
Lu 0.8356 0.8213 0.6206  7 O 2.23-2.43, 1 H 2.42
H 0.0479 0.9119 0.3575  1 O 1.00
H 0.0611 0.8253 0.9432  1 O 0.98
H 0.0871 0.7145 0.2346  4 H 2.25-2.44, 1 O 2.26, 1 Lu 2.42
H 0.0881 0.9521 0.1425  1 O 1.00
H 0.1747 0.9389 0.5568  1 O 0.98
H 0.2197 0.2474 0.7418  1 O 0.99
H 0.2299 0.4761 0.4915  1 O 0.98
H 0.2474 0.2197 0.2418  1 O 0.99
H 0.2644 0.4727 0.9764  1 O 0.97
H 0.2832 0.3699 0.8132  1 O 0.98
H 0.2855 0.9129 0.2654  4 H 2.25-2.44, 1 O 2.26, 1 Lu 2.42
H 0.2892 0.6882 0.1610  1 O 1.01
H 0.3118 0.7108 0.3390  1 O 1.01
H 0.3699 0.2832 0.3132  1 O 0.98
H 0.4727 0.2644 0.4764  1 O 0.97
H 0.4761 0.2299 0.9915  1 O 0.98
H 0.5239 0.7701 0.0085  1 O 0.98
H 0.5273 0.7356 0.5236  1 O 0.97
H 0.6301 0.7168 0.6868  1 O 0.98
H 0.6882 0.2892 0.6610  1 O 1.01
H 0.7108 0.3118 0.8390  1 O 1.01
H 0.7145 0.0871 0.7346  4 H 2.25-2.44, 1 O 2.26, 1 Lu 2.42
H 0.7168 0.6301 0.1868  1 O 0.98
H 0.7356 0.5273 0.0236  1 O 0.97
H 0.7526 0.7803 0.7582  1 O 0.99
H 0.7701 0.5239 0.5085  1 O 0.98
H 0.7803 0.7526 0.2582  1 O 0.99
H 0.8253 0.0611 0.4432  1 O 0.98
H 0.9119 0.0479 0.8575  1 O 1.00
H 0.9129 0.2855 0.7654  4 H 2.25-2.44, 1 O 2.26, 1 Lu 2.42
H 0.9389 0.1747 0.0568  1 O 0.98
H 0.9521 0.0881 0.6425  1 O 1.00
S 0.2227 0.2406 0.5801  4 O 1.48-1.50
S 0.2406 0.2227 0.0801  4 O 1.48-1.50
S 0.3438 0.6562 0.7500  4 O 1.48-1.50
S 0.6562 0.3438 0.2500  4 O 1.48-1.50
S 0.7594 0.7773 0.9199  4 O 1.48-1.50
S 0.7773 0.7594 0.4199  4 O 1.48-1.50
O 0.1002 0.7750 0.8912  1 H 0.98
O 0.1007 0.4680 0.0917  1 S 1.48
O 0.1234 0.4746 0.5793  1 S 1.49
O 0.1261 0.7083 0.7130  1 S 1.50
O 0.1297 0.8036 0.1388  2 H 1.00-1.01
O 0.1386 0.2359 0.6410  1 S 1.49
O 0.1514 0.1608 0.5043  1 S 1.50
O 0.1608 0.1514 0.0043  1 S 1.50
O 0.1964 0.8703 0.3612  2 H 1.00-1.01
O 0.2250 0.8998 0.6088  1 H 0.98
O 0.2359 0.1386 0.1410  1 S 1.49
O 0.2499 0.2675 0.7980  2 H 0.98-0.99
O 0.2675 0.2499 0.2980  2 H 0.98-0.99
O 0.2917 0.8739 0.7870  1 S 1.50
O 0.3192 0.3576 0.4519  2 H 0.97-0.98
O 0.3576 0.3192 0.9519  2 H 0.97-0.98
O 0.4474 0.5010 0.8064  1 S 1.48, 1 H 1.65
O 0.4680 0.1007 0.5917  1 S 1.48
O 0.4746 0.1234 0.0793  1 S 1.49
O 0.4990 0.5526 0.6936  1 S 1.48, 1 H 1.65
O 0.5010 0.4474 0.3064  1 S 1.48, 1 H 1.65
O 0.5254 0.8766 0.9207  1 S 1.49
O 0.5320 0.8993 0.4083  1 S 1.48
O 0.5526 0.4990 0.1936  1 S 1.48, 1 H 1.65
O 0.6424 0.6808 0.0481  2 H 0.97-0.98
O 0.6808 0.6424 0.5481  2 H 0.97-0.98
O 0.7083 0.1261 0.2130  1 S 1.50
O 0.7325 0.7501 0.7020  2 H 0.98-0.99
O 0.7501 0.7325 0.2020  2 H 0.98-0.99
O 0.7641 0.8614 0.8590  1 S 1.49
O 0.7750 0.1002 0.3912  1 H 0.98
O 0.8036 0.1297 0.6388  2 H 1.00-1.01
O 0.8392 0.8486 0.9957  1 S 1.50
O 0.8486 0.8392 0.4957  1 S 1.50
O 0.8614 0.7641 0.3590  1 S 1.49
O 0.8703 0.1964 0.8612  2 H 1.00-1.01
O 0.8739 0.2917 0.2870  1 S 1.50
O 0.8766 0.5254 0.4207  1 S 1.49
O 0.8993 0.5320 0.9083  1 S 1.48
O 0.8998 0.2250 0.1088  1 H 0.98

(2)
A geometry-optimized La2Nb2N2O5 structure, computed with PBE.

Results
Crystal system ... triclinic
Formation energy ... -2.79 eV per atom

a = 5.7146 Å, b = 8.0527 Å, c = 13.7442 Å
α = 81.62°, β = 88.82°, γ = 89.99°
With the nearest neighbours (Å) after each atom.
Sites, in units of the cell vectors:
La 0.0000 0.0000 0.0000  6 O 2.44-2.69
La 0.0076 0.1240 0.5282  1 N 2.36, 3 O 2.47-2.55
La 0.0210 0.6092 0.4991  4 O 2.45-2.67, 3 N 2.49-2.61
La 0.4336 0.2049 0.1862  2 N 2.44-2.48, 5 O 2.46-2.65
La 0.4860 0.6647 0.2348  3 N 2.39-2.65
La 0.5078 0.5589 0.7117  2 O 2.44-2.50, 3 N 2.49-2.73
La 0.5198 0.0633 0.7408  6 O 2.40-2.61, 1 N 2.57
La 0.9430 0.4762 0.0509  4 O 2.42-2.65, 2 N 2.46
Nb 0.0065 0.8034 0.7369  4 O 1.92-2.12, 1 N 1.95
Nb 0.0333 0.3212 0.7276  3 N 1.98-2.03, 3 O 2.12-2.19
Nb 0.4886 0.7510 0.9450  3 O 1.88-2.03, 1 N 2.03
Nb 0.5082 0.8678 0.5010  5 O 1.89-2.07
Nb 0.5085 0.3752 0.4938  2 N 1.86-1.98
Nb 0.5097 0.2802 0.9307  2 N 1.92-2.01, 3 O 2.04-2.10
Nb 0.9790 0.9237 0.2920  4 O 1.84-2.04
Nb 0.9864 0.4105 0.2949  2 N 1.91-1.95, 1 O 2.11
N 0.2153 0.4653 0.1878  1 Nb 1.95
N 0.2334 0.3775 0.6049  2 Nb 2.01-2.17
N 0.3164 0.3086 0.8087  2 Nb 1.98-2.01
N 0.3178 0.4659 0.3913  1 Nb 1.86
N 0.5801 0.5156 0.9224  2 Nb 1.92-2.03
N 0.7269 0.4223 0.2086  1 Nb 1.91
N 0.8319 0.3640 0.4404  2 Nb 1.98-2.15
N 0.9520 0.5673 0.7273  2 Nb 1.95-2.03
O 0.0848 0.1561 0.3147  2 Nb 2.04-2.11
O 0.0992 0.0609 0.7050  2 Nb 2.12-2.19
O 0.1860 0.9294 0.1794  1 Nb 1.92
O 0.1912 0.7205 0.0059  1 Nb 1.88
O 0.2323 0.2467 0.0279  1 Nb 2.04
O 0.2490 0.8028 0.5993  1 Nb 2.00
O 0.3189 0.8394 0.3932  1 Nb 1.89
O 0.3279 0.7735 0.7970  2 Nb 2.03-2.23
O 0.4203 0.0014 0.9230  1 Nb 2.03
O 0.4515 0.1093 0.5083  2 Nb 1.99-2.15
O 0.5987 0.6170 0.5309  2 Nb 2.07-2.15
O 0.6923 0.7516 0.0552  1 Nb 1.93
O 0.6941 0.9640 0.2328  1 Nb 1.84
O 0.7197 0.2024 0.0486  1 Nb 2.06
O 0.7333 0.2875 0.6443  1 Nb 2.12
O 0.7432 0.8772 0.6380  1 Nb 2.08
O 0.8001 0.2126 0.8489  2 Nb 2.10-2.19
O 0.8099 0.8412 0.8466  1 Nb 1.92
O 0.8293 0.9073 0.4393  2 Nb 2.01-2.17
O 0.9258 0.6753 0.3136  2 Nb 2.00-2.21

(3)
A geometry-optimized Pr6CdGe2S14 structure, computed with PBE.

Results
Crystal system ... trigonal
Formation energy ... -1.81 eV per atom

a = 10.3330 Å, b = 10.3330 Å, c = 5.8429 Å
α = 90.00°, β = 90.00°, γ = 120.00°
With the nearest neighbours (Å) after each atom.
Sites, in units of the cell vectors:
Pr 0.0248 0.5636 0.0000  8 S 2.88-3.17
Pr 0.3089 0.1032 0.5051  8 S 2.89-3.21
Pr 0.4364 0.4612 0.0000  8 S 2.88-3.17
Pr 0.5388 0.9752 0.0000  8 S 2.88-3.17
Pr 0.7943 0.6911 0.5051  8 S 2.89-3.21
Pr 0.8968 0.2057 0.5051  8 S 2.89-3.21
Cd 0.6667 0.3333 0.2644  6 S 2.70-2.75
Ge 0.0000 0.0000 0.9201  4 S 2.20-2.25
Ge 0.3333 0.6667 0.4147  4 S 2.20-2.25
S 0.0000 0.0000 0.2960  1 Ge 2.20
S 0.0803 0.8535 0.7645  1 Ge 2.25
S 0.1465 0.2268 0.7645  1 Ge 2.25
S 0.1868 0.4398 0.2611  1 Ge 2.25
S 0.2530 0.8132 0.2611  1 Ge 2.25
S 0.3333 0.6667 0.7915  1 Ge 2.20
S 0.4093 0.1705 0.0324  1 Cd 2.70, 3 Pr 2.88-2.93
S 0.5029 0.4248 0.5189  1 Cd 2.75, 3 Pr 2.89-2.96
S 0.5602 0.7470 0.2611  1 Ge 2.25
S 0.5752 0.0781 0.5189  1 Cd 2.75, 3 Pr 2.89-2.96
S 0.7612 0.5907 0.0324  1 Cd 2.70, 3 Pr 2.88-2.93
S 0.7732 0.9197 0.7645  1 Ge 2.25
S 0.8295 0.2388 0.0324  1 Cd 2.70, 3 Pr 2.88-2.93
S 0.9219 0.4971 0.5189  1 Cd 2.75, 3 Pr 2.89-2.96

(4)
A geometry-optimized Sc6Al16Ni7 structure, computed with PBE.

Results
Crystal system ... cubic
Formation energy ... -0.61 eV per atom

a = 8.5369 Å, b = 8.5369 Å, c = 8.5369 Å
α = 60.00°, β = 60.00°, γ = 60.00°
With the nearest neighbours (Å) after each atom.
Sites, in units of the cell vectors:
Sc 0.1959 0.1959 0.8041  8 Al 2.86-3.02, 4 Ni 3.09
Sc 0.1959 0.8041 0.1959  8 Al 2.86-3.02, 4 Ni 3.09
Sc 0.1959 0.8041 0.8041  8 Al 2.86-3.02, 4 Ni 3.09
Sc 0.8041 0.1959 0.1959  8 Al 2.86-3.02, 4 Ni 3.09
Sc 0.8041 0.1959 0.8041  8 Al 2.86-3.02, 4 Ni 3.09
Sc 0.8041 0.8041 0.1959  8 Al 2.86-3.02, 4 Ni 3.09
Al 0.1418 0.6194 0.6194  4 Ni 2.50-2.66, 3 Al 2.71
Al 0.1664 0.1664 0.1664  3 Ni 2.46, 3 Al 2.71
Al 0.1664 0.1664 0.5009  3 Ni 2.46, 3 Al 2.71
Al 0.1664 0.5009 0.1664  3 Ni 2.46, 3 Al 2.71
Al 0.3806 0.3806 0.3806  4 Ni 2.50-2.66, 3 Al 2.71
Al 0.3806 0.3806 0.8582  4 Ni 2.50-2.66, 3 Al 2.71
Al 0.3806 0.8582 0.3806  4 Ni 2.50-2.66, 3 Al 2.71
Al 0.4991 0.8336 0.8336  3 Ni 2.46, 3 Al 2.71
Al 0.5009 0.1664 0.1664  3 Ni 2.46, 3 Al 2.71
Al 0.6194 0.1418 0.6194  4 Ni 2.50-2.66, 3 Al 2.71
Al 0.6194 0.6194 0.1418  4 Ni 2.50-2.66, 3 Al 2.71
Al 0.6194 0.6194 0.6194  4 Ni 2.50-2.66, 3 Al 2.71
Al 0.8336 0.4991 0.8336  3 Ni 2.46, 3 Al 2.71
Al 0.8336 0.8336 0.4991  3 Ni 2.46, 3 Al 2.71
Al 0.8336 0.8336 0.8336  3 Ni 2.46, 3 Al 2.71
Al 0.8582 0.3806 0.3806  4 Ni 2.50-2.66, 3 Al 2.71
Ni 0.0000 0.0000 0.5000  8 Al 2.46-2.66
Ni 0.0000 0.5000 0.0000  8 Al 2.46-2.66
Ni 0.0000 0.5000 0.5000  8 Al 2.46-2.66
Ni 0.5000 0.0000 0.0000  8 Al 2.46-2.66
Ni 0.5000 0.0000 0.5000  8 Al 2.46-2.66
Ni 0.5000 0.5000 0.0000  8 Al 2.46-2.66
Ni 0.5000 0.5000 0.5000  8 Al 2.50

(5)
A geometry-optimized Mg5Si9 structure, computed with PBE.

Results
Crystal system ... triclinic
Formation energy ... 0.17 eV per atom

a = 6.7981 Å, b = 7.0637 Å, c = 12.7366 Å
α = 79.09°, β = 85.48°, γ = 63.18°
With the nearest neighbours (Å) after each atom.
Sites, in units of the cell vectors:
Mg 0.0000 0.0000 0.0000  5 Si 2.68-2.99, 1 Mg 2.95
Mg 0.0140 0.9892 0.4131  7 Si 2.77-3.05
Mg 0.1945 0.4421 0.4507  6 Si 2.71-2.95
Mg 0.2683 0.6216 0.8982  6 Si 2.73-3.05, 1 Mg 2.95
Mg 0.4506 0.1900 0.0709  6 Si 2.78-3.12
Mg 0.5452 0.2120 0.6423  8 Si 2.68-2.97
Mg 0.6366 0.6246 0.1236  4 Si 2.63-2.93
Mg 0.7998 0.8218 0.2675  6 Si 2.70-2.94
Mg 0.8545 0.5190 0.9048  4 Si 2.79-3.00, 1 Mg 3.11
Mg 0.8890 0.7151 0.6259  6 Si 2.69-2.99
Si 0.0673 0.2820 0.2407  4 Si 2.41-2.67
Si 0.0923 0.5671 0.1110  2 Si 2.41
Si 0.1113 0.9704 0.6750  4 Si 2.39-2.46
Si 0.2426 0.6512 0.2513  3 Si 2.38-2.45
Si 0.2834 0.2417 0.8414  3 Si 2.42-2.62
Si 0.3038 0.6749 0.5771  3 Si 2.38-2.45
Si 0.3626 0.9215 0.2451  3 Si 2.38-2.42
Si 0.4332 0.8830 0.9474  2 Si 2.42-2.43, 1 Mg 2.63
Si 0.4621 0.8935 0.7554  4 Si 2.43-2.62, 1 Mg 2.69
Si 0.4803 0.7929 0.4279  4 Si 2.34-2.46
Si 0.5675 0.3146 0.3143  4 Si 2.41-2.45
Si 0.5916 0.0426 0.4654  2 Si 2.34-2.41
Si 0.6251 0.5273 0.6950  4 Si 2.44-2.56, 2 Mg 2.69-2.72
Si 0.6436 0.2576 0.8499  3 Si 2.41-2.51
Si 0.7801 0.4489 0.3926  4 Si 2.41-2.67
Si 0.8050 0.2000 0.1649  2 Si 2.41-2.42, 2 Mg 2.64-2.68
Si 0.8631 0.9035 0.8066  2 Si 2.41-2.42
Si 0.9119 0.3251 0.5753  3 Si 2.39-2.45

(6)
A geometry-optimized Cs2PrF6 structure, computed with PBE.

Results
Crystal system ... hexagonal
Formation energy ... -3.31 eV per atom

a = 7.3633 Å, b = 7.3633 Å, c = 3.9086 Å
α = 90.00°, β = 90.00°, γ = 120.00°
With the nearest neighbours (Å) after each atom.
Sites, in units of the cell vectors:
Cs 0.3333 0.6667 0.0000  9 F 3.00-3.16
Cs 0.6667 0.3333 0.0000  9 F 3.00-3.16
Pr 0.0000 0.0000 0.5000  9 F 2.39-2.50
F 0.0000 0.2122 0.0000  2 Pr 2.50, 2 F 2.71
F 0.0000 0.6748 0.5000  1 Pr 2.39
F 0.2122 0.0000 0.0000  2 Pr 2.50, 2 F 2.71
F 0.3252 0.3252 0.5000  1 Pr 2.39
F 0.6748 0.0000 0.5000  1 Pr 2.39
F 0.7878 0.7878 0.0000  2 Pr 2.50, 2 F 2.71